Compound: Mo2WSe2S4
Source: Materials Project
Functional: PBE
Structure: relaxed

```
data_Mo2WSe2S4
_cell_length_a 3.234
_cell_length_b 3.234
_cell_length_c 29.693
_cell_angle_alpha 90.00
_cell_angle_beta 90.00
_cell_angle_gamma 120.00
_space_group_name_H-M_alt 'P 1'
_space_group_IT_number 1
_space_group_name_Hall 'P 1'
loop_
_atom_site_label
_atom_site_type_symbol
_atom_site_fract_x
_atom_site_fract_y
_atom_site_fract_z
_atom_site_occupancy
Mo1 Mo 0.000 0.000 0.231 1
Mo2 Mo 0.000 0.000 0.769 1
W1 W 0.333 0.667 0.000 1
Se1 Se 0.000 0.000 0.058 1
Se2 Se 0.000 0.000 0.942 1
S1 S 0.333 0.667 0.179 1
S2 S 0.333 0.667 0.284 1
S3 S 0.333 0.667 0.716 1
S4 S 0.333 0.667 0.821 1
```

Results
ΔH_f (0 K) (eV per atom): -0.97
E above lowest polymorph (meV per atom): 24
E (MP2020) (eV/cell): -66.95
Raw total energy (eV per atom): -7.2153

=====

Compound: Lu2InAu2
Source: Materials Project
Functional: PBE
Structure: relaxed

```
data_Lu2InAu2
_cell_length_a 7.924
_cell_length_b 7.924
_cell_length_c 7.192
_cell_angle_alpha 90.00
_cell_angle_beta 90.00
_cell_angle_gamma 90.00
_space_group_name_H-M_alt 'P 1'
_space_group_IT_number 1
_space_group_name_Hall 'P 1'
loop_
_atom_site_label
_atom_site_type_symbol
_atom_site_fract_x
_atom_site_fract_y
_atom_site_fract_z
_atom_site_occupancy
Lu1 Lu 0.157 0.157 0.000 1
Lu2 Lu 0.183 0.183 0.500 1
Lu3 Lu 0.317 0.683 0.000 1
Lu4 Lu 0.343 0.657 0.500 1
Lu5 Lu 0.657 0.343 0.500 1
Lu6 Lu 0.683 0.317 0.000 1
Lu7 Lu 0.817 0.817 0.500 1
Lu8 Lu 0.843 0.843 0.000 1
In1 In 0.000 0.500 0.250 1
In2 In 0.000 0.500 0.750 1
In3 In 0.500 0.000 0.250 1
In4 In 0.500 0.000 0.750 1
Au1 Au 0.129 0.871 0.275 1
Au2 Au 0.129 0.871 0.725 1
Au3 Au 0.371 0.371 0.225 1
Au4 Au 0.371 0.371 0.775 1
Au5 Au 0.629 0.629 0.225 1
Au6 Au 0.629 0.629 0.775 1
Au7 Au 0.871 0.129 0.275 1
Au8 Au 0.871 0.129 0.725 1
```

Results
ΔH_f (0 K) (eV per atom): -0.80
E above lowest polymorph (meV per atom): 1
Raw total energy (eV per atom): -4.4721

=====

Compound: KCaMg14
Source: Materials Project
Functional: PBE
Structure: relaxed

```
data_KCaMg14
_cell_length_a 10.776
_cell_length_b 6.635
_cell_length_c 6.635
_cell_angle_alpha 59.83
_cell_angle_beta 90.00
_cell_angle_gamma 90.00
_space_group_name_H-M_alt 'P 1'
_space_group_IT_number 1
_space_group_name_Hall 'P 1'
loop_
_atom_site_label
_atom_site_type_symbol
_atom_site_fract_x
_atom_site_fract_y
_atom_site_fract_z
_atom_site_occupancy
K1 K 0.000 0.000 0.000 1
Ca1 Ca 0.000 0.498 0.498 1
Mg1 Mg 0.000 0.000 0.504 1
Mg2 Mg 0.000 0.504 0.000 1
Mg3 Mg 0.253 0.670 0.670 1
Mg4 Mg 0.259 0.173 0.173 1
Mg5 Mg 0.268 0.167 0.659 1
Mg6 Mg 0.268 0.659 0.167 1
Mg7 Mg 0.500 0.000 0.500 1
Mg8 Mg 0.500 0.001 0.001 1
Mg9 Mg 0.500 0.500 0.000 1
Mg10 Mg 0.500 0.501 0.501 1
Mg11 Mg 0.732 0.167 0.659 1
Mg12 Mg 0.732 0.659 0.167 1
Mg13 Mg 0.741 0.173 0.173 1
Mg14 Mg 0.747 0.670 0.670 1
```

Results
ΔH_f (0 K) (eV per atom): 0.10
E above lowest polymorph (meV per atom): 9
Raw total energy (eV per atom): -1.4932

=====

Compound: Ba3Co2N4
Source: Materials Project
Functional: PBE
Structure: relaxed

```
data_Ba3Co2N4
_cell_length_a 7.863
_cell_length_b 7.863
_cell_length_c 5.509
_cell_angle_alpha 93.77
_cell_angle_beta 93.77
_cell_angle_gamma 74.88
_space_group_name_H-M_alt 'P 1'
_space_group_IT_number 1
_space_group_name_Hall 'P 1'
loop_
_atom_site_label
_atom_site_type_symbol
_atom_site_fract_x
_atom_site_fract_y
_atom_site_fract_z
_atom_site_occupancy
Ba1 Ba 0.126 0.874 0.750 1
Ba2 Ba 0.222 0.475 0.412 1
Ba3 Ba 0.475 0.222 0.912 1
Ba4 Ba 0.525 0.778 0.088 1
Ba5 Ba 0.778 0.525 0.588 1
Ba6 Ba 0.874 0.126 0.250 1
Co1 Co 0.086 0.310 0.914 1
Co2 Co 0.310 0.086 0.414 1
Co3 Co 0.690 0.914 0.586 1
Co4 Co 0.914 0.690 0.086 1
N1 N 0.124 0.545 0.919 1
N2 N 0.134 0.210 0.614 1
N3 N 0.210 0.134 0.114 1
N4 N 0.455 0.876 0.581 1
N5 N 0.545 0.124 0.419 1
N6 N 0.790 0.866 0.886 1
N7 N 0.866 0.790 0.386 1
N8 N 0.876 0.455 0.081 1
```

Results
ΔH_f (0 K) (eV per atom): -0.33
E above lowest polymorph (meV per atom): 47
E (MP2020) (eV/cell): -112.53
Raw total energy (eV per atom): -6.0913

=====

Compound: Mg3Sb
Source: Materials Project
Functional: PBE
Structure: relaxed

```
data_Mg3Sb
_cell_length_a 4.523
_cell_length_b 4.523
_cell_length_c 4.523
_cell_angle_alpha 90.00
_cell_angle_beta 90.00
_cell_angle_gamma 90.00
_space_group_name_H-M_alt 'P 1'
_space_group_IT_number 1
_space_group_name_Hall 'P 1'
loop_
_atom_site_label
_atom_site_type_symbol
_atom_site_fract_x
_atom_site_fract_y
_atom_site_fract_z
_atom_site_occupancy
Mg1 Mg 0.000 0.000 0.500 1
Mg2 Mg 0.000 0.500 0.000 1
Mg3 Mg 0.500 0.000 0.000 1
Sb1 Sb 0.500 0.500 0.500 1
```

Results
ΔH_f (0 K) (eV per atom): -0.22
E above lowest polymorph (meV per atom): 0
E (MP2020) (eV/cell): -9.80
Raw total energy (eV per atom): -2.4010

=====

Compound: Ba2NaFe6As6
Source: Materials Project
Functional: PBE
Structure: relaxed

```
data_Ba2NaFe6As6
_cell_length_a 8.803
_cell_length_b 8.803
_cell_length_c 6.998
_cell_angle_alpha 112.20
_cell_angle_beta 112.20
_cell_angle_gamma 36.42
_space_group_name_H-M_alt 'P 1'
_space_group_IT_number 1
_space_group_name_Hall 'P 1'
loop_
_atom_site_label
_atom_site_type_symbol
_atom_site_fract_x
_atom_site_fract_y
_atom_site_fract_z
_atom_site_occupancy
Ba1 Ba 0.162 0.162 0.000 1
Ba2 Ba 0.838 0.838 0.000 1
Na1 Na 0.500 0.500 0.000 1
Fe1 Fe 0.083 0.583 0.499 1
Fe2 Fe 0.249 0.751 0.500 1
Fe3 Fe 0.417 0.917 0.501 1
Fe4 Fe 0.583 0.083 0.499 1
Fe5 Fe 0.751 0.249 0.500 1
Fe6 Fe 0.917 0.417 0.501 1
As1 As 0.051 0.051 0.301 1
As2 As 0.283 0.283 0.696 1
As3 As 0.383 0.383 0.301 1
As4 As 0.617 0.617 0.699 1
As5 As 0.717 0.717 0.304 1
As6 As 0.949 0.949 0.699 1
```

Results
ΔH_f (0 K) (eV per atom): -0.43
Raw total energy (eV per atom): -6.0305

=====

Compound: NbO2F
Source: Materials Project
Functional: PBE
Structure: relaxed

```
data_NbO2F
_cell_length_a 4.008
_cell_length_b 5.646
_cell_length_c 5.646
_cell_angle_alpha 87.59
_cell_angle_beta 90.00
_cell_angle_gamma 90.00
_space_group_name_H-M_alt 'P 1'
_space_group_IT_number 1
_space_group_name_Hall 'P 1'
loop_
_atom_site_label
_atom_site_type_symbol
_atom_site_fract_x
_atom_site_fract_y
_atom_site_fract_z
_atom_site_occupancy
Nb1 Nb 0.000 0.000 0.000 1
Nb2 Nb 0.000 0.473 0.473 1
O1 O 0.000 0.221 0.729 1
O2 O 0.000 0.226 0.226 1
O3 O 0.000 0.729 0.221 1
O4 O 0.500 0.479 0.479 1
F1 F 0.000 0.730 0.730 1
F2 F 0.500 0.971 0.971 1
```

Results
ΔH_f (0 K) (eV per atom): -3.11
Largest piezoelectric modulus (C/m²): 4.405
E (MP2020) (eV/cell): -68.67
Raw total energy (eV per atom): -8.1248

=====

Compound: CaYCu3Se4
Source: Materials Project
Functional: PBE
Structure: relaxed

```
data_CaYCu3Se4
_cell_length_a 6.158
_cell_length_b 6.158
_cell_length_c 6.158
_cell_angle_alpha 90.00
_cell_angle_beta 90.00
_cell_angle_gamma 90.00
_space_group_name_H-M_alt 'P 1'
_space_group_IT_number 1
_space_group_name_Hall 'P 1'
loop_
_atom_site_label
_atom_site_type_symbol
_atom_site_fract_x
_atom_site_fract_y
_atom_site_fract_z
_atom_site_occupancy
Ca1 Ca 0.000 0.000 0.000 1
Y1 Y 0.500 0.500 0.500 1
Cu1 Cu 0.000 0.500 0.500 1
Cu2 Cu 0.500 0.000 0.500 1
Cu3 Cu 0.500 0.500 0.000 1
Se1 Se 0.257 0.257 0.743 1
Se2 Se 0.257 0.743 0.257 1
Se3 Se 0.743 0.257 0.257 1
Se4 Se 0.743 0.743 0.743 1
```

Results
ΔH_f (0 K) (eV per atom): -1.01
E (MP2020) (eV/cell): -43.88
Raw total energy (eV per atom): -4.6663